The following is a PBE calculation of crystalline Na5Ta2Zn2SiP5O24 at its relaxed geometry, from Materials Project.

Values from the calculation:
Total DFT energy (no corrections) = -7.01 eV per atom
Space group = No. 1

Geometry as CIF:
```
data_Na5Ta2Zn2SiP5O24
_chemical_formula_sum 'Na15 Ta6 Zn6 Si3 P15 O72'
_cell_length_a 8.932
_cell_length_b 8.993
_cell_length_c 22.278
_cell_angle_alpha 89.84
_cell_angle_beta 89.92
_cell_angle_gamma 119.92
_symmetry_space_group_name_H-M 'P 1'
_symmetry_Int_Tables_number 1
_symmetry_space_group_name_Hall 'P 1'
loop_
_atom_site_label
_atom_site_type_symbol
_atom_site_fract_x
_atom_site_fract_y
_atom_site_fract_z
_atom_site_occupancy
Na1 Na 0.619 0.003 0.251 1
Na2 Na 0.999 0.614 0.249 1
Na3 Na 0.347 0.000 0.752 1
Na4 Na 0.296 0.312 0.586 1
Na5 Na 0.022 0.708 0.588 1
Na6 Na 0.683 0.977 0.591 1
Na7 Na 0.651 0.688 0.077 1
Na8 Na 0.042 0.352 0.079 1
Na9 Na 0.980 0.681 0.911 1
Na10 Na 0.006 0.001 0.506 1
Na11 Na 0.011 0.013 0.987 1
Na12 Na 0.670 0.328 0.832 1
Na13 Na 0.655 0.336 0.340 1
Na14 Na 0.327 0.666 0.164 1
Na15 Na 0.338 0.658 0.670 1
Ta1 Ta 0.004 0.003 0.358 1
Ta2 Ta 0.004 0.999 0.144 1
Ta3 Ta 0.668 0.330 0.686 1
Ta4 Ta 0.664 0.331 0.981 1
Ta5 Ta 0.334 0.670 0.515 1
Ta6 Ta 0.339 0.667 0.816 1
Zn1 Zn 0.997 0.012 0.847 1
Zn2 Zn 0.997 0.999 0.657 1
Zn3 Zn 0.665 0.335 0.185 1
Zn4 Zn 0.659 0.328 0.480 1
Zn5 Zn 0.329 0.674 0.017 1
Zn6 Zn 0.334 0.660 0.316 1
Si1 Si 0.712 0.000 0.749 1
Si2 Si 0.369 0.040 0.581 1
Si3 Si 0.963 0.625 0.087 1
P1 P 0.293 0.004 0.251 1
P2 P 0.710 0.712 0.251 1
P3 P 0.004 0.289 0.250 1
P4 P 0.295 0.297 0.749 1
P5 P 0.998 0.700 0.752 1
P6 P 0.959 0.336 0.579 1
P7 P 0.666 0.622 0.580 1
P8 P 0.664 0.041 0.087 1
P9 P 0.377 0.331 0.086 1
P10 P 0.627 0.666 0.922 1
P11 P 0.041 0.370 0.921 1
P12 P 0.333 0.962 0.917 1
P13 P 0.626 0.963 0.411 1
P14 P 0.336 0.377 0.414 1
P15 P 0.037 0.663 0.412 1
O1 O 0.192 0.016 0.307 1
O2 O 0.831 0.817 0.305 1
O3 O 0.991 0.172 0.305 1
O4 O 0.225 0.173 0.801 1
O5 O 0.969 0.774 0.809 1
O6 O 0.823 0.038 0.807 1
O7 O 0.774 0.964 0.686 1
O8 O 0.198 0.235 0.690 1
O9 O 0.046 0.814 0.696 1
O10 O 0.810 0.827 0.193 1
O11 O 0.015 0.192 0.193 1
O12 O 0.174 0.988 0.195 1
O13 O 0.872 0.368 0.637 1
O14 O 0.497 0.131 0.641 1
O15 O 0.635 0.504 0.637 1
O16 O 0.879 0.513 0.147 1
O17 O 0.640 0.116 0.145 1
O18 O 0.487 0.360 0.140 1
O19 O 0.464 0.300 0.028 1
O20 O 0.827 0.526 0.028 1
O21 O 0.692 0.165 0.032 1
O22 O 0.455 0.164 0.526 1
O23 O 0.700 0.544 0.526 1
O24 O 0.848 0.308 0.526 1
O25 O 0.544 0.682 0.979 1
O26 O 0.136 0.450 0.979 1
O27 O 0.302 0.850 0.972 1
O28 O 0.530 0.838 0.469 1
O29 O 0.307 0.465 0.472 1
O30 O 0.162 0.691 0.469 1
O31 O 0.122 0.648 0.355 1
O32 O 0.524 0.879 0.355 1
O33 O 0.352 0.481 0.359 1
O34 O 0.136 0.499 0.866 1
O35 O 0.359 0.872 0.860 1
O36 O 0.507 0.646 0.866 1
O37 O 0.032 0.838 0.411 1
O38 O 0.807 0.967 0.411 1
O39 O 0.162 0.194 0.412 1
O40 O 0.017 0.194 0.912 1
O41 O 0.176 0.984 0.908 1
O42 O 0.811 0.811 0.914 1
O43 O 0.991 0.186 0.588 1
O44 O 0.174 0.004 0.592 1
O45 O 0.814 0.805 0.588 1
O46 O 0.965 0.814 0.089 1
O47 O 0.844 0.042 0.088 1
O48 O 0.192 0.165 0.089 1
O49 O 0.673 0.167 0.742 1
O50 O 0.486 0.327 0.740 1
O51 O 0.839 0.518 0.741 1
O52 O 0.706 0.542 0.250 1
O53 O 0.834 0.293 0.251 1
O54 O 0.470 0.163 0.249 1
O55 O 0.634 0.490 0.923 1
O56 O 0.858 0.365 0.923 1
O57 O 0.504 0.141 0.923 1
O58 O 0.655 0.140 0.421 1
O59 O 0.487 0.348 0.421 1
O60 O 0.859 0.513 0.422 1
O61 O 0.349 0.484 0.077 1
O62 O 0.151 0.648 0.078 1
O63 O 0.523 0.857 0.078 1
O64 O 0.362 0.847 0.575 1
O65 O 0.491 0.629 0.575 1
O66 O 0.142 0.508 0.576 1
O67 O 0.296 0.836 0.250 1
O68 O 0.539 0.711 0.251 1
O69 O 0.162 0.467 0.250 1
O70 O 0.321 0.480 0.762 1
O71 O 0.161 0.674 0.761 1
O72 O 0.505 0.832 0.759 1
```



The following is a PBE calculation of crystalline Na9Ta4Zn2Si6P3O36 at its relaxed geometry, from Materials Project.

Values from the calculation:
Energy relative to the lowest polymorph listed for this composition = 0.019 eV per atom
Total DFT energy (no corrections) = -7.25 eV per atom

Geometry as CIF:
```
data_Na9Ta4Zn2Si6P3O36
_chemical_formula_sum 'Na36 Ta16 Zn8 Si24 P12 O144'
_cell_length_a 15.751
_cell_length_b 27.080
_cell_length_c 9.029
_cell_angle_alpha 89.99
_cell_angle_beta 125.00
_cell_angle_gamma 90.02
_symmetry_space_group_name_H-M 'P 1'
_symmetry_Int_Tables_number 1
_symmetry_space_group_name_Hall 'P 1'
loop_
_atom_site_label
_atom_site_type_symbol
_atom_site_fract_x
_atom_site_fract_y
_atom_site_fract_z
_atom_site_occupancy
Na1 Na 0.258 0.245 0.030 1
Na2 Na 0.251 0.590 0.021 1
Na3 Na 0.261 0.912 0.028 1
Na4 Na 0.751 0.252 0.505 1
Na5 Na 0.746 0.581 0.501 1
Na6 Na 0.759 0.917 0.524 1
Na7 Na 0.751 0.090 0.021 1
Na8 Na 0.761 0.412 0.028 1
Na9 Na 0.758 0.745 0.030 1
Na10 Na 0.246 0.081 0.501 1
Na11 Na 0.259 0.417 0.524 1
Na12 Na 0.251 0.752 0.505 1
Na13 Na 0.485 0.027 0.715 1
Na14 Na 0.490 0.370 0.749 1
Na15 Na 0.485 0.697 0.723 1
Na16 Na 0.489 0.294 0.254 1
Na17 Na 0.499 0.626 0.267 1
Na18 Na 0.500 0.956 0.278 1
Na19 Na 0.985 0.197 0.723 1
Na20 Na 0.985 0.527 0.715 1
Na21 Na 0.990 0.870 0.749 1
Na22 Na 0.999 0.126 0.267 1
Na23 Na 0.000 0.456 0.278 1
Na24 Na 0.989 0.794 0.254 1
Na25 Na 0.817 0.982 0.212 1
Na26 Na 0.209 0.309 0.295 1
Na27 Na 0.200 0.974 0.276 1
Na28 Na 0.201 0.359 0.788 1
Na29 Na 0.820 0.019 0.718 1
Na30 Na 0.815 0.695 0.681 1
Na31 Na 0.317 0.482 0.212 1
Na32 Na 0.700 0.474 0.276 1
Na33 Na 0.709 0.809 0.295 1
Na34 Na 0.701 0.859 0.788 1
Na35 Na 0.315 0.195 0.681 1
Na36 Na 0.320 0.519 0.718 1
Ta1 Ta 0.105 0.250 0.577 1
Ta2 Ta 0.106 0.584 0.568 1
Ta3 Ta 0.106 0.916 0.567 1
Ta4 Ta 0.891 0.250 0.933 1
Ta5 Ta 0.896 0.583 0.942 1
Ta6 Ta 0.106 0.084 0.060 1
Ta7 Ta 0.105 0.417 0.062 1
Ta8 Ta 0.106 0.750 0.062 1
Ta9 Ta 0.606 0.084 0.568 1
Ta10 Ta 0.606 0.416 0.567 1
Ta11 Ta 0.605 0.750 0.577 1
Ta12 Ta 0.396 0.083 0.942 1
Ta13 Ta 0.391 0.750 0.933 1
Ta14 Ta 0.606 0.250 0.062 1
Ta15 Ta 0.606 0.584 0.060 1
Ta16 Ta 0.605 0.917 0.062 1
Zn1 Zn 0.897 0.916 0.946 1
Zn2 Zn 0.895 0.088 0.439 1
Zn3 Zn 0.902 0.417 0.463 1
Zn4 Zn 0.900 0.750 0.444 1
Zn5 Zn 0.397 0.416 0.946 1
Zn6 Zn 0.400 0.250 0.444 1
Zn7 Zn 0.395 0.588 0.439 1
Zn8 Zn 0.402 0.917 0.463 1
Si1 Si 0.995 0.321 0.743 1
Si2 Si 0.495 0.821 0.743 1
Si3 Si 0.353 0.298 0.754 1
Si4 Si 0.353 0.631 0.752 1
Si5 Si 0.351 0.964 0.747 1
Si6 Si 0.641 0.298 0.732 1
Si7 Si 0.646 0.631 0.737 1
Si8 Si 0.646 0.968 0.741 1
Si9 Si 0.647 0.034 0.248 1
Si10 Si 0.643 0.700 0.247 1
Si11 Si 0.353 0.036 0.256 1
Si12 Si 0.350 0.370 0.248 1
Si13 Si 0.353 0.704 0.257 1
Si14 Si 0.853 0.131 0.752 1
Si15 Si 0.851 0.464 0.747 1
Si16 Si 0.853 0.798 0.754 1
Si17 Si 0.146 0.131 0.737 1
Si18 Si 0.146 0.468 0.741 1
Si19 Si 0.141 0.798 0.732 1
Si20 Si 0.143 0.200 0.247 1
Si21 Si 0.147 0.534 0.248 1
Si22 Si 0.853 0.204 0.257 1
Si23 Si 0.853 0.536 0.256 1
Si24 Si 0.850 0.870 0.248 1
P1 P 0.002 0.653 0.748 1
P2 P 0.003 0.987 0.741 1
P3 P 0.003 0.012 0.241 1
P4 P 0.002 0.346 0.249 1
P5 P 0.003 0.680 0.248 1
P6 P 0.502 0.153 0.748 1
P7 P 0.503 0.487 0.741 1
P8 P 0.503 0.180 0.248 1
P9 P 0.503 0.512 0.241 1
P10 P 0.502 0.846 0.249 1
P11 P 0.640 0.366 0.239 1
P12 P 0.140 0.866 0.239 1
O1 O 0.149 0.193 0.748 1
O2 O 0.146 0.530 0.746 1
O3 O 0.144 0.860 0.736 1
O4 O 0.845 0.191 0.777 1
O5 O 0.847 0.525 0.782 1
O6 O 0.841 0.857 0.755 1
O7 O 0.849 0.145 0.247 1
O8 O 0.842 0.477 0.241 1
O9 O 0.841 0.811 0.254 1
O10 O 0.142 0.138 0.239 1
O11 O 0.138 0.473 0.242 1
O12 O 0.146 0.807 0.247 1
O13 O 0.646 0.030 0.746 1
O14 O 0.644 0.360 0.736 1
O15 O 0.649 0.693 0.748 1
O16 O 0.347 0.025 0.782 1
O17 O 0.341 0.357 0.755 1
O18 O 0.345 0.691 0.777 1
O19 O 0.341 0.311 0.254 1
O20 O 0.349 0.645 0.247 1
O21 O 0.342 0.977 0.241 1
O22 O 0.646 0.307 0.247 1
O23 O 0.642 0.638 0.239 1
O24 O 0.638 0.973 0.242 1
O25 O 0.427 0.183 0.579 1
O26 O 0.436 0.518 0.574 1
O27 O 0.425 0.852 0.567 1
O28 O 0.564 0.188 0.919 1
O29 O 0.567 0.520 0.918 1
O30 O 0.570 0.856 0.927 1
O31 O 0.562 0.145 0.417 1
O32 O 0.566 0.477 0.410 1
O33 O 0.566 0.812 0.423 1
O34 O 0.448 0.147 0.078 1
O35 O 0.442 0.483 0.068 1
O36 O 0.451 0.811 0.083 1
O37 O 0.936 0.018 0.574 1
O38 O 0.925 0.352 0.567 1
O39 O 0.927 0.683 0.579 1
O40 O 0.067 0.020 0.918 1
O41 O 0.070 0.356 0.927 1
O42 O 0.064 0.688 0.919 1
O43 O 0.066 0.312 0.423 1
O44 O 0.062 0.645 0.417 1
O45 O 0.066 0.977 0.410 1
O46 O 0.951 0.311 0.083 1
O47 O 0.948 0.647 0.078 1
O48 O 0.942 0.983 0.068 1
O49 O 0.254 0.272 0.747 1
O50 O 0.254 0.605 0.740 1
O51 O 0.252 0.938 0.730 1
O52 O 0.751 0.279 0.772 1
O53 O 0.757 0.616 0.769 1
O54 O 0.747 0.949 0.752 1
O55 O 0.744 0.051 0.249 1
O56 O 0.732 0.390 0.257 1
O57 O 0.735 0.726 0.252 1
O58 O 0.252 0.061 0.240 1
O59 O 0.254 0.397 0.252 1
O60 O 0.251 0.730 0.237 1
O61 O 0.754 0.105 0.740 1
O62 O 0.752 0.438 0.730 1
O63 O 0.754 0.772 0.747 1
O64 O 0.257 0.116 0.769 1
O65 O 0.247 0.449 0.752 1
O66 O 0.251 0.779 0.772 1
O67 O 0.235 0.226 0.252 1
O68 O 0.244 0.551 0.249 1
O69 O 0.232 0.890 0.257 1
O70 O 0.751 0.230 0.237 1
O71 O 0.752 0.561 0.240 1
O72 O 0.754 0.897 0.252 1
O73 O 0.348 0.280 0.581 1
O74 O 0.358 0.624 0.584 1
O75 O 0.349 0.964 0.568 1
O76 O 0.630 0.284 0.904 1
O77 O 0.637 0.616 0.909 1
O78 O 0.644 0.953 0.923 1
O79 O 0.645 0.050 0.427 1
O80 O 0.634 0.380 0.405 1
O81 O 0.640 0.714 0.427 1
O82 O 0.358 0.059 0.090 1
O83 O 0.337 0.389 0.069 1
O84 O 0.357 0.726 0.092 1
O85 O 0.858 0.124 0.584 1
O86 O 0.849 0.464 0.568 1
O87 O 0.848 0.780 0.581 1
O88 O 0.137 0.116 0.909 1
O89 O 0.144 0.453 0.923 1
O90 O 0.130 0.784 0.904 1
O91 O 0.140 0.214 0.427 1
O92 O 0.145 0.550 0.427 1
O93 O 0.134 0.880 0.405 1
O94 O 0.857 0.226 0.092 1
O95 O 0.858 0.559 0.090 1
O96 O 0.837 0.889 0.069 1
O97 O 0.461 0.274 0.939 1
O98 O 0.460 0.606 0.935 1
O99 O 0.461 0.942 0.925 1
O100 O 0.544 0.277 0.546 1
O101 O 0.548 0.611 0.552 1
O102 O 0.540 0.948 0.564 1
O103 O 0.535 0.055 0.074 1
O104 O 0.539 0.381 0.063 1
O105 O 0.529 0.717 0.072 1
O106 O 0.463 0.058 0.440 1
O107 O 0.461 0.393 0.430 1
O108 O 0.461 0.725 0.445 1
O109 O 0.960 0.106 0.935 1
O110 O 0.961 0.442 0.925 1
O111 O 0.961 0.774 0.939 1
O112 O 0.048 0.111 0.552 1
O113 O 0.040 0.448 0.564 1
O114 O 0.044 0.777 0.546 1
O115 O 0.029 0.217 0.072 1
O116 O 0.035 0.555 0.074 1
O117 O 0.039 0.881 0.063 1
O118 O 0.961 0.225 0.445 1
O119 O 0.963 0.558 0.440 1
O120 O 0.961 0.893 0.430 1
O121 O 0.085 0.288 0.743 1
O122 O 0.082 0.622 0.743 1
O123 O 0.086 0.955 0.737 1
O124 O 0.928 0.279 0.770 1
O125 O 0.933 0.617 0.771 1
O126 O 0.933 0.951 0.757 1
O127 O 0.930 0.047 0.253 1
O128 O 0.925 0.380 0.244 1
O129 O 0.924 0.713 0.243 1
O130 O 0.091 0.043 0.248 1
O131 O 0.087 0.377 0.248 1
O132 O 0.085 0.712 0.246 1
O133 O 0.582 0.122 0.743 1
O134 O 0.586 0.455 0.737 1
O135 O 0.585 0.788 0.743 1
O136 O 0.433 0.117 0.771 1
O137 O 0.433 0.451 0.757 1
O138 O 0.428 0.779 0.770 1
O139 O 0.424 0.213 0.243 1
O140 O 0.430 0.547 0.253 1
O141 O 0.425 0.880 0.244 1
O142 O 0.585 0.212 0.246 1
O143 O 0.591 0.543 0.248 1
O144 O 0.587 0.877 0.248 1
```



Number 1: V 1550.98 Å³ per cell. Number 2: V 3154.62 Å³ per cell.